[1]
Pr3Ag | the Materials Project | PBE | relaxed; energy above the lowest structure with this stoichiometry = 0.009 eV/atom; total DFT energy (no corrections) = -34.19 eV for the cell shown; ΔH_f (0 K) = 8 kJ/mol of formula units; space group = P6_3/mmc (194)
1.0
7.2610 0.0000 0.0000
-3.6305 6.2882 0.0000
0.0000 0.0000 5.3885
Pr Ag
6 2
direct
0.1756 0.3512 0.2500
0.1756 0.8244 0.2500
0.3512 0.1756 0.7500
0.6488 0.8244 0.2500
0.8244 0.1756 0.7500
0.8244 0.6488 0.7500
0.3333 0.6667 0.7500
0.6667 0.3333 0.2500

[2]
Pr3Ag | the Materials Project | PBE | relaxed; energy above the lowest structure with this stoichiometry = 0.000 eV/atom; total DFT energy (no corrections) = -34.27 eV for the cell shown; ΔH_f (0 K) = 4 kJ/mol of formula units; space group = I4/mmm (139)
1.0
4.8413 0.0000 0.0000
0.0000 4.8413 0.0000
0.0000 0.0000 10.4683
Pr Ag
6 2
direct
0.0000 0.0000 0.0000
0.0000 0.5000 0.2500
0.0000 0.5000 0.7500
0.5000 0.0000 0.2500
0.5000 0.0000 0.7500
0.5000 0.5000 0.5000
0.0000 0.0000 0.5000
0.5000 0.5000 0.0000

[3]
Pr14Ag51 | the Materials Project | PBE | relaxed; total DFT energy (no corrections) = -227.43 eV for the cell shown; ΔH_f (0 K) = -1548 kJ/mol of formula units; space group = P-6 (174)
1.0
13.0545 0.0000 0.0000
-6.5272 11.3055 0.0000
0.0000 0.0000 9.5829
Pr Ag
14 51
direct
0.0000 0.0000 0.1976
0.0000 0.0000 0.8024
0.1184 0.7170 0.5000
0.1392 0.4674 0.0000
0.2830 0.4015 0.5000
0.3281 0.8608 0.0000
0.3830 0.1143 0.5000
0.4696 0.3280 0.0000
0.5326 0.6719 0.0000
0.5985 0.8816 0.5000
0.6720 0.1416 0.0000
0.7313 0.6170 0.5000
0.8584 0.5304 0.0000
0.8857 0.2687 0.5000
0.0187 0.8832 0.5000
0.0595 0.8204 0.0000
0.0750 0.2666 0.2646
0.0750 0.2666 0.7354
0.1055 0.6664 0.1684
0.1055 0.6664 0.8316
0.1158 0.4938 0.3463
0.1158 0.4938 0.6537
0.1168 0.1355 0.5000
0.1796 0.2391 0.0000
0.1916 0.9250 0.2646
0.1916 0.9250 0.7354
0.2376 0.0585 0.0000
0.2699 0.1959 0.2588
0.2699 0.1959 0.7412
0.3333 0.6667 0.2057
0.3333 0.6667 0.5000
0.3333 0.6667 0.7943
0.3336 0.4391 0.1684
0.3336 0.4391 0.8316
0.3780 0.8842 0.3463
0.3780 0.8842 0.6537
0.4374 0.1055 0.1701
0.4374 0.1055 0.8299
0.4978 0.3807 0.3476
0.4978 0.3807 0.6524
0.5062 0.6220 0.3463
0.5062 0.6220 0.6537
0.5609 0.8945 0.1684
0.5609 0.8945 0.8316
0.6193 0.1170 0.3476
0.6193 0.1170 0.6524
0.6667 0.3333 0.2065
0.6667 0.3333 0.5000
0.6667 0.3333 0.7935
0.6681 0.5626 0.1701
0.6681 0.5626 0.8299
0.7334 0.8084 0.2646
0.7334 0.8084 0.7354
0.7609 0.9405 0.0000
0.8041 0.0740 0.2588
0.8041 0.0740 0.7412
0.8208 0.7624 0.0000
0.8645 0.9813 0.5000
0.8830 0.5022 0.3476
0.8830 0.5022 0.6524
0.8945 0.3319 0.1701
0.8945 0.3319 0.8299
0.9260 0.7301 0.2588
0.9260 0.7301 0.7412
0.9415 0.1792 0.0000

[4]
Pr2AgRu | the Materials Project | PBE | relaxed; total DFT energy (no corrections) = -89.48 eV for the cell shown; ΔH_f (0 K) = -68 kJ/mol of formula units; space group = Fm-3m (225)
1.0
7.3011 0.0000 0.0000
0.0000 7.3011 0.0000
0.0000 0.0000 7.3011
Pr Ag Ru
8 4 4
direct
0.2500 0.2500 0.2500
0.2500 0.2500 0.7500
0.2500 0.7500 0.2500
0.2500 0.7500 0.7500
0.7500 0.2500 0.2500
0.7500 0.2500 0.7500
0.7500 0.7500 0.2500
0.7500 0.7500 0.7500
0.0000 0.0000 0.0000
0.0000 0.5000 0.5000
0.5000 0.0000 0.5000
0.5000 0.5000 0.0000
0.0000 0.0000 0.5000
0.0000 0.5000 0.0000
0.5000 0.0000 0.0000
0.5000 0.5000 0.5000